1.
VASP calculation (PBE) on K2Ta4O11 after structural relaxation.

Structure (CIF):
```
data_K2Ta4O11
_chemical_formula_sum 'K4 Ta8 O22'
_cell_length_a 12.9849
_cell_length_b 12.9849
_cell_length_c 12.9849
_cell_angle_alpha 28.28
_cell_angle_beta 28.28
_cell_angle_gamma 28.28
_symmetry_space_group_name_H-M 'P 1'
_symmetry_Int_Tables_number 1
loop_
_symmetry_equiv_pos_as_xyz
'x,y,z'
loop_
_atom_site_label
_atom_site_type_symbol
_atom_site_fract_x
_atom_site_fract_y
_atom_site_fract_z
K1 K 0.6741 0.6741 0.6741
Ta1 Ta 0.2500 0.6155 0.8845
O1 O 0.2351 0.7385 0.4314
O2 O 0.0044 0.4956 0.2500
O3 O 0.9314 0.2385 0.7351
K2 K 0.8259 0.8259 0.8259
O4 O 0.0686 0.7615 0.2649
O5 O 0.5044 0.7500 0.9956
Ta2 Ta 0.6155 0.8845 0.2500
K3 K 0.1741 0.1741 0.1741
Ta3 Ta 0.7500 0.3845 0.1155
K4 K 0.3259 0.3259 0.3259
O6 O 0.5686 0.7649 0.2615
O7 O 0.4064 0.4064 0.4064
O8 O 0.7615 0.2649 0.0686
Ta4 Ta 0.5000 0.5000 0.5000
O9 O 0.9956 0.5044 0.7500
O10 O 0.9064 0.9064 0.9064
O11 O 0.4956 0.2500 0.0044
O12 O 0.7385 0.4314 0.2351
O13 O 0.7351 0.9314 0.2385
Ta5 Ta 0.8845 0.2500 0.6155
O14 O 0.2500 0.0044 0.4956
Ta6 Ta 0.1155 0.7500 0.3845
Ta7 Ta 0.0000 0.0000 0.0000
O15 O 0.5936 0.5936 0.5936
O16 O 0.2649 0.0686 0.7615
O17 O 0.7500 0.9956 0.5044
Ta8 Ta 0.3845 0.1155 0.7500
O18 O 0.2385 0.7351 0.9314
O19 O 0.4314 0.2351 0.7385
O20 O 0.7649 0.2615 0.5686
O21 O 0.2615 0.5686 0.7649
O22 O 0.0936 0.0936 0.0936
```

Computed properties:
- SG: R-3c (167)
- ΔH_f (0 K): -3206 meV/atom

---

2.
VASP calculation (PBE) on BaNa3PCO7 after structural relaxation.

Structure (CIF):
```
data_BaNa3PCO7
_chemical_formula_sum 'Ba2 Na6 P2 C2 O14'
_cell_length_a 7.3057
_cell_length_b 5.4801
_cell_length_c 9.4238
_cell_angle_alpha 89.99
_cell_angle_beta 90.00
_cell_angle_gamma 90.00
_symmetry_space_group_name_H-M 'P 1'
_symmetry_Int_Tables_number 1
loop_
_symmetry_equiv_pos_as_xyz
'x,y,z'
loop_
_atom_site_label
_atom_site_type_symbol
_atom_site_fract_x
_atom_site_fract_y
_atom_site_fract_z
O1 O 0.2564 0.5169 0.2777
Ba1 Ba 0.2341 0.0132 0.3195
Na1 Na 0.2947 0.4990 0.8342
C1 C 0.2543 0.5106 0.1378
O2 O 0.9028 0.9166 0.2017
O3 O 0.2402 0.2300 0.5806
O4 O 0.2773 0.7096 0.0653
O5 O 0.7285 0.6961 0.9271
P1 P 0.2668 0.0043 0.6801
Na2 Na 0.0190 0.5077 0.5186
O6 O 0.5840 0.0855 0.2541
O7 O 0.2285 0.3039 0.0729
O8 O 0.4028 0.0834 0.7983
O9 O 0.0840 0.9145 0.7459
O10 O 0.7773 0.2904 0.9347
Ba2 Ba 0.7341 0.9868 0.6805
P2 P 0.7668 0.9957 0.3199
O11 O 0.7402 0.7700 0.4194
C2 C 0.7543 0.4894 0.8622
O12 O 0.3489 0.7895 0.5913
Na3 Na 0.0186 0.9925 0.9834
Na4 Na 0.5190 0.4923 0.4814
Na5 Na 0.5186 0.0075 0.0166
Na6 Na 0.7947 0.5010 0.1658
O13 O 0.7564 0.4831 0.7223
O14 O 0.8489 0.2105 0.4087
```

Computed properties:
- Total magnetization: 0.00 Bohr magnetons per cell
- Relative energy among the computed polymorphs: 0 meV per atom
- SG: P2_1 (4)
- ΔH_f (0 K): -2555 meV/atom

---

3.
VASP calculation (PBE) on Tl2F3 after structural relaxation.

Structure (CIF):
```
data_Tl2F3
_chemical_formula_sum 'Tl2 F3'
_cell_length_a 4.7229
_cell_length_b 4.7229
_cell_length_c 4.7229
_cell_angle_alpha 90.00
_cell_angle_beta 90.00
_cell_angle_gamma 90.00
_symmetry_space_group_name_H-M 'P 1'
_symmetry_Int_Tables_number 1
loop_
_symmetry_equiv_pos_as_xyz
'x,y,z'
loop_
_atom_site_label
_atom_site_type_symbol
_atom_site_fract_x
_atom_site_fract_y
_atom_site_fract_z
Tl1 Tl 0.0000 0.0000 0.0000
F1 F 0.0000 0.5000 0.0000
F2 F 0.0000 0.0000 0.5000
Tl2 Tl 0.5000 0.5000 0.5000
F3 F 0.5000 0.0000 0.0000
```

Computed properties:
- SG: Pm-3m (221)
- ΔH_f (0 K): -2000 meV/atom

---

| no. | volume (Å³ per atom) | energy with MP2020 corrections (eV/cell) |
| --- | --- | --- |
| 1 | 12.77 | -317.1 |
| 2 | 14.51 | -176.8 |
| 3 | 21.07 | -20.5 |